A plane-wave DFT calculation with PBE with a Hubbard U was carried out for a relaxed NaMn2O4 crystal.

Output
- Excess energy over the best structure of this formula in the dataset: 96.9 meV/atom
- E_tot: -6.649 eV/atom

POSCAR file:
```
NaMn2O4
1.0
-5.437 2.475 -0.851
-3.987 -6.630 6.190
1.590 6.087 7.543
O Mn Na
32 16 8
Direct
0.125 0.016 0.896
0.625 0.016 0.896
0.125 0.184 0.250
0.868 0.250 0.000
0.375 0.684 0.250
0.375 0.816 0.750
0.875 0.984 0.104
0.375 0.516 0.604
0.625 0.016 0.604
0.875 0.684 0.250
0.875 0.816 0.750
0.625 0.184 0.250
0.625 0.484 0.396
0.132 0.750 0.500
0.632 0.750 0.500
0.125 0.484 0.104
0.368 0.250 0.000
0.625 0.484 0.104
0.125 0.484 0.396
0.125 0.316 0.750
0.632 0.750 0.000
0.875 0.516 0.896
0.368 0.250 0.500
0.132 0.750 0.000
0.625 0.316 0.750
0.875 0.516 0.604
0.375 0.516 0.896
0.875 0.984 0.396
0.868 0.250 0.500
0.375 0.984 0.396
0.375 0.984 0.104
0.125 0.016 0.604
0.123 0.113 0.072
0.623 0.113 0.072
0.877 0.613 0.072
0.377 0.613 0.428
0.877 0.887 0.572
0.377 0.887 0.572
0.877 0.613 0.428
0.877 0.887 0.928
0.123 0.387 0.928
0.623 0.387 0.572
0.623 0.387 0.928
0.377 0.613 0.072
0.377 0.887 0.928
0.623 0.113 0.428
0.123 0.113 0.428
0.123 0.387 0.572
0.125 0.645 0.750
0.125 0.855 0.250
0.625 0.855 0.250
0.625 0.645 0.750
0.375 0.355 0.250
0.375 0.145 0.750
0.875 0.355 0.250
0.875 0.145 0.750
```


A plane-wave DFT calculation with PBE with a Hubbard U was carried out for a relaxed NaMnO4 crystal.

Output
- Excess energy over the best structure of this formula in the dataset: 4.5 meV/atom
- E_tot: -5.693 eV/atom

POSCAR file:
```
NaMnO4
1.0
5.735 0.000 0.000
0.000 8.495 0.000
-5.469 0.000 7.217
Na Mn O
4 4 16
Direct
0.087 0.033 0.336
0.087 0.467 0.836
0.913 0.533 0.164
0.913 0.967 0.664
0.406 0.688 0.662
0.406 0.812 0.162
0.594 0.188 0.838
0.594 0.312 0.338
0.211 0.653 0.092
0.211 0.847 0.592
0.245 0.559 0.498
0.245 0.941 0.998
0.274 0.224 0.784
0.274 0.276 0.284
0.440 0.619 0.842
0.440 0.881 0.342
0.560 0.119 0.658
0.560 0.381 0.158
0.726 0.724 0.716
0.726 0.776 0.216
0.755 0.059 0.002
0.755 0.441 0.502
0.789 0.153 0.408
0.789 0.347 0.908
```


A plane-wave DFT calculation with PBE with a Hubbard U was carried out for a relaxed Na11Mn13O32 crystal.

Output
- Excess energy over the best structure of this formula in the dataset: 3.3 meV/atom
- E_tot: -6.297 eV/atom

POSCAR file:
```
Na11Mn13O32
1.0
5.990 0.000 0.000
2.991 5.433 0.000
2.989 -0.708 20.286
Na Mn O
11 13 32
Direct
0.000 0.000 0.000
0.007 0.475 0.512
0.195 0.385 0.223
0.384 0.296 0.933
0.393 0.769 0.446
0.448 0.506 0.597
0.500 0.746 0.255
0.508 0.233 0.749
0.882 0.540 0.696
0.893 0.023 0.191
0.940 0.266 0.849
0.195 0.886 0.723
0.440 0.261 0.355
0.442 0.768 0.846
0.447 0.004 0.599
0.448 0.014 0.090
0.448 0.508 0.090
0.686 0.658 0.968
0.705 0.113 0.477
0.943 0.767 0.846
0.945 0.755 0.355
0.946 0.260 0.355
0.949 0.005 0.599
0.954 0.508 0.090
0.000 0.525 0.914
0.025 0.962 0.409
0.068 0.758 0.663
0.081 0.435 0.404
0.098 0.151 0.654
0.101 0.204 0.136
0.102 0.900 0.894
0.107 0.648 0.137
0.286 0.120 0.308
0.288 0.871 0.552
0.290 0.565 0.309
0.293 0.622 0.791
0.313 0.333 0.041
0.322 0.015 0.783
0.368 0.808 0.037
0.391 0.244 0.531
0.510 0.758 0.663
0.557 0.527 0.914
0.558 0.204 0.136
0.589 0.682 0.140
0.593 0.913 0.901
0.604 0.146 0.644
0.605 0.962 0.409
0.607 0.374 0.412
0.785 0.395 0.033
0.785 0.625 0.801
0.787 0.808 0.037
0.800 0.858 0.545
0.803 0.087 0.305
0.832 0.246 0.532
0.835 0.565 0.309
0.879 0.015 0.783
```


A plane-wave DFT calculation with PBE with a Hubbard U was carried out for a relaxed NaMn7O12 crystal.

Output
- E_tot: -7.195 eV/atom

POSCAR file:
```
NaMn7O12
1.0
-3.723 3.723 3.723
3.723 -3.723 3.723
3.723 3.723 -3.723
Na Mn O
1 7 12
Direct
0.000 0.000 0.000
0.000 0.000 0.500
0.000 0.500 0.000
0.000 0.500 0.500
0.500 0.000 0.000
0.500 0.000 0.500
0.500 0.500 0.000
0.500 0.500 0.500
0.129 0.314 0.815
0.185 0.499 0.314
0.185 0.871 0.686
0.314 0.185 0.499
0.314 0.815 0.129
0.499 0.314 0.185
0.501 0.686 0.815
0.686 0.185 0.871
0.686 0.815 0.501
0.815 0.129 0.314
0.815 0.501 0.686
0.871 0.686 0.185
```


A plane-wave DFT calculation with PBE with a Hubbard U was carried out for a relaxed Na4Mn2O5 crystal.

Output
- E_tot: -5.665 eV/atom

POSCAR file:
```
Na4Mn2O5
1.0
0.000 4.818 9.944
2.923 0.000 9.944
2.923 4.818 0.000
Na Mn O
8 4 10
Direct
0.029 0.541 0.719
0.211 0.719 0.541
0.281 0.789 0.971
0.459 0.971 0.789
0.541 0.029 0.211
0.719 0.211 0.029
0.789 0.281 0.459
0.971 0.459 0.281
0.095 0.655 0.095
0.345 0.905 0.345
0.655 0.095 0.655
0.905 0.345 0.905
0.060 0.060 0.690
0.125 0.125 0.125
0.192 0.192 0.558
0.310 0.310 0.940
0.442 0.442 0.808
0.558 0.558 0.192
0.690 0.690 0.060
0.808 0.808 0.442
0.875 0.875 0.875
0.940 0.940 0.310
```


A plane-wave DFT calculation with PBE with a Hubbard U was carried out for a relaxed NaMn2O4 crystal.

Output
- Excess energy over the best structure of this formula in the dataset: 25.2 meV/atom
- E_tot: -6.721 eV/atom

POSCAR file:
```
NaMn2O4
1.0
6.072 0.000 0.000
0.000 5.050 0.000
-6.068 0.000 11.431
Na Mn O
4 8 16
Direct
0.000 0.009 0.250
0.000 0.991 0.750
0.500 0.360 0.750
0.500 0.640 0.250
0.000 0.500 0.000
0.000 0.500 0.500
0.262 0.002 0.006
0.262 0.998 0.506
0.500 0.500 0.000
0.500 0.500 0.500
0.738 0.002 0.494
0.738 0.998 0.994
0.085 0.174 0.590
0.085 0.826 0.090
0.182 0.314 0.414
0.182 0.686 0.914
0.352 0.335 0.089
0.352 0.665 0.589
0.399 0.178 0.906
0.399 0.822 0.406
0.601 0.178 0.594
0.601 0.822 0.094
0.648 0.335 0.411
0.648 0.665 0.911
0.818 0.314 0.086
0.818 0.686 0.586
0.915 0.174 0.910
0.915 0.826 0.410
```


A plane-wave DFT calculation with PBE with a Hubbard U was carried out for a relaxed NaMn3O6 crystal.

Output
- Excess energy over the best structure of this formula in the dataset: 0.0 meV/atom
- E_tot: -6.824 eV/atom

POSCAR file:
```
NaMn3O6
1.0
0.000 4.289 13.120
4.206 0.000 13.120
4.206 4.289 0.000
Na Mn O
4 12 24
Direct
0.042 0.042 0.708
0.292 0.292 0.958
0.708 0.708 0.042
0.958 0.958 0.292
0.000 0.500 0.500
0.157 0.171 0.342
0.170 0.658 0.829
0.171 0.157 0.830
0.342 0.830 0.157
0.500 0.000 0.500
0.500 0.500 0.000
0.500 0.500 0.500
0.658 0.170 0.843
0.829 0.843 0.170
0.830 0.342 0.171
0.843 0.829 0.658
0.041 0.627 0.404
0.046 0.634 0.906
0.086 0.094 0.366
0.094 0.086 0.954
0.225 0.251 0.287
0.251 0.225 0.736
0.264 0.713 0.749
0.287 0.736 0.225
0.366 0.954 0.086
0.373 0.959 0.571
0.404 0.429 0.041
0.429 0.404 0.627
0.571 0.596 0.373
0.596 0.571 0.959
0.627 0.041 0.429
0.634 0.046 0.914
0.713 0.264 0.775
0.736 0.287 0.251
0.749 0.775 0.264
0.775 0.749 0.713
0.906 0.914 0.046
0.914 0.906 0.634
0.954 0.366 0.094
0.959 0.373 0.596
```


A plane-wave DFT calculation with PBE with a Hubbard U was carried out for a relaxed Na7Mn11O24 crystal.

Output
- E_tot: -6.555 eV/atom

POSCAR file:
```
Na7Mn11O24
1.0
6.062 0.000 0.000
-0.003 8.758 0.000
-2.749 -4.195 9.248
Na Mn O
7 11 24
Direct
0.000 0.000 0.000
0.081 0.718 0.162
0.255 0.647 0.519
0.421 0.038 0.846
0.579 0.962 0.154
0.745 0.353 0.481
0.919 0.282 0.838
0.000 0.000 0.500
0.157 0.652 0.816
0.169 0.187 0.350
0.339 0.346 0.184
0.344 0.326 0.673
0.500 0.000 0.500
0.500 0.500 0.000
0.656 0.674 0.327
0.661 0.654 0.816
0.831 0.813 0.650
0.843 0.348 0.184
0.033 0.285 0.056
0.053 0.241 0.524
0.126 0.850 0.784
0.151 0.967 0.351
0.158 0.407 0.327
0.213 0.432 0.837
0.328 0.143 0.208
0.346 0.553 0.681
0.357 0.098 0.655
0.370 0.567 0.169
0.460 0.235 0.505
0.470 0.730 0.949
0.530 0.270 0.051
0.540 0.765 0.495
0.630 0.433 0.831
0.643 0.902 0.345
0.654 0.447 0.319
0.672 0.857 0.792
0.787 0.568 0.163
0.842 0.593 0.673
0.849 0.033 0.649
0.874 0.150 0.216
0.947 0.759 0.476
0.967 0.715 0.944
```


Question: Which of these has the lowest E_tot?
Answer: NaMn7O12


Question: What is the E_tot in the second record?
Answer: -5.693 eV/atom